The following is a r²SCAN calculation of a relaxed structure of Al2S3, from Materials Project.

Calculated values
As for the formation enthalpy at 0 K: -6.18 eV per formula unit. As for the space group: P6_1, No. 169.

Cell: 6.5498 6.5498 17.1536 Å, 90.00 90.00 120.00°
Last column: nearest neighbours and their distance in Å.
Fractional positions:
Al1 0.6579 0.0104 0.5495  4 S 2.23-2.27
Al2 0.6997 0.0059 0.1839  5 S 2.28-2.50
Al3 0.0059 0.3061 0.0173  5 S 2.28-2.50
Al4 0.9896 0.6474 0.8829  4 S 2.23-2.27
Al5 0.0104 0.3526 0.3829  4 S 2.23-2.27
Al6 0.9941 0.6939 0.5173  5 S 2.28-2.50
Al7 0.6474 0.6579 0.7162  4 S 2.23-2.27
Al8 0.6939 0.6997 0.3506  5 S 2.28-2.50
Al9 0.3061 0.3003 0.8506  5 S 2.28-2.50
Al10 0.3003 0.9941 0.6839  5 S 2.28-2.50
Al11 0.3526 0.3421 0.2162  4 S 2.23-2.27
Al12 0.3421 0.9896 0.0495  4 S 2.23-2.27
S1 0.3402 0.3436 0.3483  3 Al 2.27-2.32
S2 0.6659 0.9581 0.0403  3 Al 2.24-2.48
S3 0.0419 0.7078 0.3736  3 Al 2.24-2.48
S4 0.6528 0.6989 0.4953  2 Al 2.23-2.28
S5 0.3341 0.0419 0.5403  3 Al 2.24-2.48
S6 0.6598 0.6564 0.8483  3 Al 2.27-2.32
S7 0.6564 0.9967 0.6816  3 Al 2.27-2.32
S8 0.3011 0.9539 0.8286  2 Al 2.23-2.28
S9 0.0461 0.3472 0.1620  2 Al 2.23-2.28
S10 0.9539 0.6528 0.6620  2 Al 2.23-2.28
S11 0.3436 0.0033 0.1816  3 Al 2.27-2.32
S12 0.6989 0.0461 0.3286  2 Al 2.23-2.28
S13 0.7078 0.6659 0.2070  3 Al 2.24-2.48
S14 0.0033 0.6598 0.0150  3 Al 2.27-2.32
S15 0.3472 0.3011 0.9953  2 Al 2.23-2.28
S16 0.9581 0.2922 0.8736  3 Al 2.24-2.48
S17 0.2922 0.3341 0.7070  3 Al 2.24-2.48
S18 0.9967 0.3402 0.5150  3 Al 2.27-2.32

The following is a r²SCAN calculation of a relaxed structure of Al2S3, from Materials Project.

Calculated values
As for the formation enthalpy at 0 K: -5.98 eV per formula unit. As for the space group: R-3c, No. 167.

Cell: 6.0339 6.0339 6.4688 Å, 62.20 62.20 60.00°
Last column: nearest neighbours and their distance in Å.
Fractional positions:
Al1 0.6515 0.6515 0.0455  6 S 2.37-2.45
Al2 0.1515 0.1515 0.5455  6 S 2.37-2.45
Al3 0.3485 0.3485 0.9545  6 S 2.37-2.45
Al4 0.8485 0.8485 0.4545  6 S 2.37-2.45
S1 0.4433 0.0567 0.7500  4 Al 2.37-2.45
S2 0.0567 0.7500 0.7500  4 Al 2.37-2.45
S3 0.7500 0.4433 0.7500  4 Al 2.37-2.45
S4 0.9433 0.2500 0.2500  4 Al 2.37-2.45
S5 0.2500 0.5567 0.2500  4 Al 2.37-2.45
S6 0.5567 0.9433 0.2500  4 Al 2.37-2.45

The following is a r²SCAN calculation of a relaxed structure of Sm9Al5S21, from Materials Project.

Calculated values
As for the formation enthalpy at 0 K: -70.07 eV per formula unit. As for the space group: R3, No. 146.

Cell: 11.5714 11.5714 11.5714 Å, 94.63 94.63 94.63°
Last column: nearest neighbours and their distance in Å.
Fractional positions:
Sm1 0.1153 0.8816 0.7391  7 S 2.80-3.00
Sm2 0.4548 0.2246 0.0721  7 S 2.79-3.04
Sm3 0.7672 0.5520 0.3976  7 S 2.83-3.02
Sm4 0.3976 0.7672 0.5520  7 S 2.83-3.02
Sm5 0.7391 0.1153 0.8816  7 S 2.80-3.00
Sm6 0.0721 0.4548 0.2246  7 S 2.79-3.04
Sm7 0.2246 0.0721 0.4548  7 S 2.79-3.04
Sm8 0.5520 0.3976 0.7672  7 S 2.83-3.02
Sm9 0.8816 0.7391 0.1153  7 S 2.80-3.00
Sm10 0.2078 0.4342 0.5847  7 S 2.77-3.09
Sm11 0.5485 0.7771 0.9306  7 S 2.79-3.02
Sm12 0.8754 0.1004 0.2456  7 S 2.81-2.96
Sm13 0.9306 0.5485 0.7771  7 S 2.79-3.02
Sm14 0.2456 0.8754 0.1004  7 S 2.81-2.96
Sm15 0.5847 0.2078 0.4342  7 S 2.77-3.09
Sm16 0.1004 0.2456 0.8754  7 S 2.81-2.96
Sm17 0.4342 0.5847 0.2078  7 S 2.77-3.09
Sm18 0.7771 0.9306 0.5485  7 S 2.79-3.02
Al1 0.7212 0.3882 0.0474  4 S 2.22-2.25
Al2 0.0474 0.7212 0.3882  4 S 2.22-2.25
Al3 0.3882 0.0474 0.7212  4 S 2.22-2.25
Al4 0.8832 0.2253 0.5482  4 S 2.22-2.26
Al5 0.2253 0.5482 0.8832  4 S 2.22-2.26
Al6 0.5482 0.8832 0.2253  4 S 2.22-2.26
Al7 0.8577 0.8577 0.8577  6 S 2.41-2.47
Al8 0.1740 0.1740 0.1740  3 S 2.32
Al9 0.6753 0.6753 0.6753  3 S 2.32
Al10 0.3561 0.3561 0.3561  6 S 2.40-2.47
S1 0.8396 0.5086 0.1712  1 Al 2.22
S2 0.1712 0.8396 0.5086  1 Al 2.22
S3 0.5086 0.1712 0.8396  1 Al 2.22
S4 0.6727 0.0067 0.3396  1 Al 2.22
S5 0.0067 0.3396 0.6727  1 Al 2.22
S6 0.3396 0.6727 0.0067  1 Al 2.22
S7 0.5435 0.4482 0.0098  1 Al 2.24
S8 0.8714 0.7843 0.3559  1 Al 2.23
S9 0.2081 0.1067 0.6939  1 Al 2.25
S10 0.6939 0.2081 0.1067  1 Al 2.25
S11 0.0098 0.5435 0.4482  1 Al 2.24
S12 0.3559 0.8714 0.7843  1 Al 2.23
S13 0.7843 0.3559 0.8714  1 Al 2.23
S14 0.1067 0.6939 0.2081  1 Al 2.25
S15 0.4482 0.0098 0.5435  1 Al 2.24
S16 0.9643 0.0676 0.4789  1 Al 2.24
S17 0.2986 0.3865 0.8139  1 Al 2.23
S18 0.6296 0.7220 0.1611  1 Al 2.26
S19 0.8139 0.2986 0.3865  1 Al 2.23
S20 0.1611 0.6296 0.7220  1 Al 2.26
S21 0.4789 0.9643 0.0676  1 Al 2.24
S22 0.7220 0.1611 0.6296  1 Al 2.26
S23 0.0676 0.4789 0.9643  1 Al 2.24
S24 0.3865 0.8139 0.2986  1 Al 2.23
S25 0.5515 0.4081 0.3104  1 Al 2.40
S26 0.8909 0.7596 0.6672  2 Al 2.47-2.62
S27 0.2362 0.0986 0.0003  1 Al 2.32
S28 0.0003 0.2362 0.0986  1 Al 2.32
S29 0.3104 0.5515 0.4081  1 Al 2.40
S30 0.6672 0.8909 0.7596  2 Al 2.47-2.62
S31 0.7596 0.6672 0.8909  2 Al 2.47-2.62
S32 0.0986 0.0003 0.2362  1 Al 2.32
S33 0.4081 0.3104 0.5515  1 Al 2.40
S34 0.1523 0.2843 0.3755  2 Al 2.47-2.61
S35 0.4898 0.6228 0.7259  1 Al 2.32
S36 0.7953 0.9421 0.0369  1 Al 2.41
S37 0.7259 0.4898 0.6228  1 Al 2.32
S38 0.0369 0.7953 0.9421  1 Al 2.41
S39 0.3755 0.1523 0.2843  2 Al 2.47-2.61
S40 0.9421 0.0369 0.7953  1 Al 2.41
S41 0.2843 0.3755 0.1523  2 Al 2.47-2.61
S42 0.6228 0.7259 0.4898  1 Al 2.32